Here is a geometry-optimized Ag3SI structure from the Materials Project database. Energies are from GGA-PBE.

a b c (Å): 10.1518 7.0935 7.0110
angles (deg): 58.88 43.46 44.64
Last column: nearest neighbours and their distance in Å.
Sites, in units of the cell vectors:
Ag 0.4358 0.6161 0.4953  2 S 2.58-2.63
Ag 0.0669 0.4991 0.0031  2 S 2.54-2.55
S 0.7315 0.5111 0.5053  6 Ag 2.55-2.63
I 0.0088 0.9997 0.9978  6 Ag 3.02-3.22
S 0.2343 0.5039 0.5035  6 Ag 2.54-2.63
Ag 0.5762 0.4896 0.0050  2 S 2.55-2.56
I 0.5095 0.0006 0.9974  6 Ag 3.04-3.23
Ag 0.9388 0.0077 0.4924  2 S 2.56
Ag 0.0518 0.3840 0.4931  2 S 2.58-2.63
Ag 0.5438 0.0094 0.4975  2 S 2.54-2.55

## Properties
calculated formation energy	-0.25	eV per atom
density	6.57	g/cm³
DFT total energy	-14.52	eV per formula unit
volume	24.4	Å³/atom